1.
Below is a relaxed MoIr3 crystal, with properties calculated at the GGA-PBE level. Values from VASP.

Properties
Calculated volume: 14.73 Å³ per atom
Calculated total energy: -9.6818 eV per atom
Symmetry: P6_3/mmc

Cell and atoms, written as Quantum ESPRESSO input:
```
&SYSTEM
  ibrav = 0, nat = 8, ntyp = 2
/
ATOMIC_SPECIES
Mo 95.94 Mo.upf
Ir 192.22 Ir.upf
CELL_PARAMETERS angstrom
5.547 0.000 0.000
-2.773 4.804 0.000
0.000 0.000 4.423
ATOMIC_POSITIONS angstrom
Mo 0.000 3.202 1.106
Mo 2.773 1.601 3.317
Ir 0.000 1.598 3.317
Ir -1.389 4.004 3.317
Ir 1.384 0.799 1.106
Ir 1.389 4.004 3.317
Ir 4.162 0.799 1.106
Ir 2.773 3.205 1.106
```

---

2.
Below is a relaxed MoIr4 crystal, with properties calculated at the GGA-PBE level. Values from VASP.

Properties
Calculated volume: 14.79 Å³ per atom
Calculated total energy: -9.3088 eV per atom
Magnetic moment: 0.00 μB/f.u.
Symmetry: R-3m

Cell and atoms, written as Quantum ESPRESSO input:
```
&SYSTEM
  ibrav = 0, nat = 5, ntyp = 2
/
ATOMIC_SPECIES
Mo 95.94 Mo.upf
Ir 192.22 Ir.upf
CELL_PARAMETERS angstrom
1.374 0.793 11.306
-1.374 0.793 11.306
0.000 -1.587 11.306
ATOMIC_POSITIONS angstrom
Mo 0.000 0.000 0.000
Ir 0.000 0.000 6.760
Ir 0.000 0.000 13.557
Ir 0.000 0.000 20.361
Ir 0.000 0.000 27.158
```

---

3.
Below is a relaxed Ti2MoIr crystal, with properties calculated at the GGA-PBE level. Values from VASP.

Properties
Calculated volume: 15.28 Å³ per atom
Calculated total energy: -9.5044 eV per atom
Symmetry: Fm-3m

Cell and atoms, written as Quantum ESPRESSO input:
```
&SYSTEM
  ibrav = 0, nat = 4, ntyp = 3
/
ATOMIC_SPECIES
Ti 47.87 Ti.upf
Mo 95.94 Mo.upf
Ir 192.22 Ir.upf
CELL_PARAMETERS angstrom
0.000 3.126 3.126
3.126 0.000 3.126
3.126 3.126 0.000
ATOMIC_POSITIONS angstrom
Ti 1.563 1.563 1.563
Ti 4.690 4.690 4.690
Mo 0.000 0.000 0.000
Ir 3.126 3.126 3.126
```

---

4.
Below is a relaxed Na2IrN2 crystal, with properties calculated at the GGA-PBE level. Values from VASP.

Properties
Calculated volume: 15.90 Å³ per atom
Calculated total energy: -5.3624 eV per atom
MP2020-corrected energy: -5.507 eV per atom
Magnetic moment: 0.21 μB/f.u.
Symmetry: Immm

Cell and atoms, written as Quantum ESPRESSO input:
```
&SYSTEM
  ibrav = 0, nat = 5, ntyp = 3
/
ATOMIC_SPECIES
Na 22.99 Na.upf
Ir 192.22 Ir.upf
N 14.01 N.upf
CELL_PARAMETERS angstrom
-1.578 2.014 6.256
1.578 -2.014 6.256
1.578 2.014 -6.256
ATOMIC_POSITIONS angstrom
Na 0.000 0.000 1.979
Na 0.000 0.000 10.532
Ir 0.000 0.000 6.256
N 0.000 0.000 4.466
N 0.000 0.000 8.045
```